1.
VASP calculation (PBE-GGA) on an optimized crystal structure of PtN2.

Space-group type: No. 187

Cell lengths 3.2150, 3.2150, 3.9172 Å; angles 90.00, 90.00, 120.00 degrees
With the nearest neighbours (Å) after each atom.
Positions (direct):
Pt (0.0000, 0.0000, 0.0000)  6 N 2.30
N (0.3333, 0.6667, 0.3470)  1 N 1.20
N (0.3333, 0.6667, 0.6530)  1 N 1.20

2.
VASP calculation (PBE-GGA) on an optimized crystal structure of PtS6N2.

Space-group type: No. 65

Cell lengths 9.5592, 9.5592, 5.3754 Å; angles 90.00, 90.00, 135.99 degrees
With the nearest neighbours (Å) after each atom.
Positions (direct):
Pt (0.0000, 0.0000, 0.0000)  4 S 2.30
S (0.1083, 0.3062, 0.0000)  1 S 2.03
S (0.1772, 0.8228, 0.0000)  2 S 2.03
S (0.3062, 0.1083, 0.0000)  1 S 2.03
S (0.6938, 0.8917, 0.0000)  1 S 2.03
S (0.8228, 0.1772, 0.0000)  2 S 2.03
S (0.8917, 0.6938, 0.0000)  1 S 2.03
N (0.3344, 0.6656, 0.5000)  6 S 3.61-3.87
N (0.6656, 0.3344, 0.5000)  6 S 3.61-3.87

3.
VASP calculation (PBE-GGA) on an optimized crystal structure of PtS4N4.

Space-group type: No. 14

Cell lengths 8.8575, 8.2870, 11.7249 Å; angles 90.00, 102.53, 90.00 degrees
With the nearest neighbours (Å) after each atom.
Positions (direct):
Pt (0.0476, 0.1635, 0.1360)  2 N 1.99-2.00
Pt (0.0476, 0.3365, 0.6360)  2 N 1.99-2.00
Pt (0.9524, 0.6635, 0.3640)  2 N 1.99-2.00
Pt (0.9524, 0.8365, 0.8640)  2 N 1.99-2.00
S (0.1025, 0.7139, 0.0175)  1 N 1.63
S (0.1025, 0.7861, 0.5175)  1 N 1.63
S (0.2671, 0.2220, 0.6122)  1 N 1.63
S (0.2671, 0.2780, 0.1122)  1 N 1.63
S (0.2984, 0.5971, 0.4237)  2 N 1.55-1.62
S (0.2984, 0.9029, 0.9237)  2 N 1.55-1.62
S (0.3509, 0.0875, 0.3069)  2 N 1.55-1.62
S (0.3509, 0.4125, 0.8069)  2 N 1.55-1.62
S (0.6491, 0.5875, 0.1931)  2 N 1.55-1.62
S (0.6491, 0.9125, 0.6931)  2 N 1.55-1.62
S (0.7016, 0.0971, 0.0763)  2 N 1.55-1.62
S (0.7016, 0.4029, 0.5763)  2 N 1.55-1.62
S (0.7329, 0.7220, 0.8878)  1 N 1.63
S (0.7329, 0.7780, 0.3878)  1 N 1.63
S (0.8975, 0.2139, 0.4825)  1 N 1.63
S (0.8975, 0.2861, 0.9825)  1 N 1.63
N (0.1438, 0.5578, 0.3374)  1 S 1.55
N (0.1438, 0.9422, 0.8374)  1 S 1.55
N (0.1747, 0.0526, 0.2754)  1 S 1.55
N (0.1747, 0.4474, 0.7754)  1 S 1.55
N (0.2790, 0.7241, 0.5249)  2 S 1.62-1.63
N (0.2790, 0.7759, 0.0249)  2 S 1.62-1.63
N (0.4057, 0.2127, 0.2176)  2 S 1.62-1.63
N (0.4057, 0.2873, 0.7176)  2 S 1.62-1.63
N (0.5943, 0.7127, 0.2824)  2 S 1.62-1.63
N (0.5943, 0.7873, 0.7824)  2 S 1.62-1.63
N (0.7210, 0.2241, 0.9751)  2 S 1.62-1.63
N (0.7210, 0.2759, 0.4751)  2 S 1.62-1.63
N (0.8253, 0.5526, 0.2246)  1 S 1.55
N (0.8253, 0.9474, 0.7246)  1 S 1.55
N (0.8562, 0.0578, 0.1626)  1 S 1.55
N (0.8562, 0.4422, 0.6626)  1 S 1.55

4.
VASP calculation (PBE-GGA) on an optimized crystal structure of Si7PtN10.

Space-group type: No. 7

Cell lengths 6.7497, 6.9574, 9.7725 Å; angles 90.00, 103.80, 90.00 degrees
With the nearest neighbours (Å) after each atom.
Positions (direct):
Si (0.0000, 0.0151, 0.0000)  4 N 1.70-1.85
Si (0.0000, 0.9849, 0.5000)  4 N 1.70-1.85
Si (0.1032, 0.3668, 0.6599)  4 N 1.69-1.76
Si (0.1032, 0.6332, 0.1599)  4 N 1.69-1.76
Si (0.2976, 0.3808, 0.9853)  4 N 1.71-1.87
Si (0.2976, 0.6192, 0.4853)  4 N 1.71-1.87
Si (0.5642, 0.4069, 0.7514)  4 N 1.73-1.80
Si (0.5642, 0.5931, 0.2514)  4 N 1.73-1.80
Si (0.7450, 0.3787, 0.0553)  4 N 1.73-1.77
Si (0.7450, 0.6213, 0.5553)  4 N 1.73-1.77
Si (0.8122, 0.0235, 0.7003)  4 N 1.70-1.80
Si (0.8122, 0.9765, 0.2003)  4 N 1.70-1.80
Si (0.9354, 0.3671, 0.3596)  4 N 1.73-1.74
Si (0.9354, 0.6329, 0.8596)  4 N 1.73-1.74
Pt (0.4630, 0.1117, 0.8850)  4 N 2.09-2.31
Pt (0.4630, 0.8883, 0.3850)  4 N 2.09-2.31
N (0.0014, 0.1431, 0.6400)  3 Si 1.69-1.75
N (0.0014, 0.8569, 0.1400)  3 Si 1.69-1.75
N (0.1466, 0.4211, 0.4953)  3 Si 1.73-1.74
N (0.1466, 0.5789, 0.9953)  3 Si 1.73-1.74
N (0.2066, 0.1543, 0.9971)  2 Si 1.70-1.71
N (0.2066, 0.8457, 0.4971)  2 Si 1.70-1.71
N (0.3234, 0.3806, 0.7988)  3 Si 1.76-1.87
N (0.3234, 0.6194, 0.2988)  3 Si 1.76-1.87
N (0.5256, 0.4353, 0.1098)  3 Si 1.73-1.76
N (0.5256, 0.5647, 0.6098)  3 Si 1.73-1.76
N (0.6251, 0.1679, 0.7325)  2 Si 1.70-1.73
N (0.6251, 0.8321, 0.2325)  2 Si 1.70-1.73
N (0.7364, 0.4989, 0.3993)  3 Si 1.73-1.75
N (0.7364, 0.5011, 0.8993)  3 Si 1.73-1.75
N (0.7756, 0.1271, 0.0460)  3 Si 1.77-1.85
N (0.7756, 0.8729, 0.5460)  3 Si 1.77-1.85
N (0.9087, 0.1197, 0.3467)  3 Si 1.73-1.75
N (0.9087, 0.8803, 0.8467)  3 Si 1.73-1.75
N (0.9434, 0.4561, 0.1944)  3 Si 1.72-1.75
N (0.9434, 0.5439, 0.6944)  3 Si 1.72-1.75

5.
VASP calculation (PBE-GGA) on an optimized crystal structure of Sr4PtN4.

E above lowest polymorph in eV per atom: 0.000
Space-group type: No. 62

Cell lengths 12.3780, 3.8741, 16.0695 Å; angles 90.00, 90.00, 90.00 degrees
With the nearest neighbours (Å) after each atom.
Positions (direct):
Sr (0.0541, 0.2500, 0.0898)  2 N 2.57
Sr (0.0939, 0.7500, 0.3288)  6 N 2.64-2.76
Sr (0.1492, 0.2500, 0.5401)  3 N 2.48-2.76
Sr (0.1565, 0.7500, 0.7669)  3 N 2.46-2.53
Sr (0.3435, 0.2500, 0.2669)  3 N 2.46-2.53
Sr (0.3508, 0.7500, 0.0401)  3 N 2.48-2.76
Sr (0.4061, 0.2500, 0.8288)  6 N 2.64-2.76
Sr (0.4459, 0.7500, 0.5898)  2 N 2.57
Sr (0.5541, 0.2500, 0.4102)  2 N 2.57
Sr (0.5939, 0.7500, 0.1712)  6 N 2.64-2.76
Sr (0.6492, 0.2500, 0.9599)  3 N 2.48-2.76
Sr (0.6565, 0.7500, 0.7331)  3 N 2.46-2.53
Sr (0.8435, 0.2500, 0.2331)  3 N 2.46-2.53
Sr (0.8508, 0.7500, 0.4599)  3 N 2.48-2.76
Sr (0.9061, 0.2500, 0.6712)  6 N 2.64-2.76
Sr (0.9459, 0.7500, 0.9102)  2 N 2.57
Pt (0.1716, 0.2500, 0.9270)  4 Sr 2.99-3.30
Pt (0.3284, 0.7500, 0.4270)  4 Sr 2.99-3.30
Pt (0.6716, 0.2500, 0.5730)  4 Sr 2.99-3.30
Pt (0.8284, 0.7500, 0.0730)  4 Sr 2.99-3.30
N (0.0147, 0.2500, 0.4254)  1 N 1.30
N (0.0516, 0.7500, 0.6370)  1 N 1.30
N (0.1514, 0.7500, 0.1628)  1 N 1.28
N (0.2374, 0.7500, 0.2070)  1 N 1.28
N (0.2626, 0.2500, 0.7070)  1 N 1.28
N (0.3486, 0.2500, 0.6628)  1 N 1.28
N (0.4484, 0.2500, 0.1370)  1 N 1.30
N (0.4853, 0.7500, 0.9254)  1 N 1.30
N (0.5147, 0.2500, 0.0746)  1 N 1.30
N (0.5516, 0.7500, 0.8630)  1 N 1.30
N (0.6514, 0.7500, 0.3372)  1 N 1.28
N (0.7374, 0.7500, 0.2930)  1 N 1.28
N (0.7626, 0.2500, 0.7930)  1 N 1.28
N (0.8486, 0.2500, 0.8372)  1 N 1.28
N (0.9484, 0.2500, 0.3630)  1 N 1.30
N (0.9853, 0.7500, 0.5746)  1 N 1.30

6.
VASP calculation (PBE-GGA) on an optimized crystal structure of Sr5Pt2N6.

Space-group type: No. 15

Cell lengths 6.4193, 6.4193, 12.7908 Å; angles 102.02, 102.02, 69.96 degrees
With the nearest neighbours (Å) after each atom.
Positions (direct):
Sr (0.1127, 0.8873, 0.7500)  6 N 2.61-2.91
Sr (0.1828, 0.6930, 0.9998)  6 N 2.67-2.92
Sr (0.2196, 0.4520, 0.2745)  5 N 2.55-2.79
Sr (0.3070, 0.8172, 0.5002)  6 N 2.67-2.92
Sr (0.4520, 0.2196, 0.7745)  5 N 2.55-2.79
Sr (0.5480, 0.7804, 0.2255)  5 N 2.55-2.79
Sr (0.6930, 0.1828, 0.4998)  6 N 2.67-2.92
Sr (0.7804, 0.5480, 0.7255)  5 N 2.55-2.79
Sr (0.8172, 0.3070, 0.0002)  6 N 2.67-2.92
Sr (0.8873, 0.1127, 0.2500)  6 N 2.61-2.91
Pt (0.2056, 0.3245, 0.5474)  3 N 1.92-1.95
Pt (0.3245, 0.2056, 0.0474)  3 N 1.92-1.95
Pt (0.6755, 0.7944, 0.9526)  3 N 1.92-1.95
Pt (0.7944, 0.6755, 0.4526)  3 N 1.92-1.95
N (0.0851, 0.1849, 0.6323)  1 Pt 1.95
N (0.1849, 0.0851, 0.1323)  1 Pt 1.95
N (0.1845, 0.2401, 0.9012)  1 Pt 1.92
N (0.2401, 0.1845, 0.4012)  1 Pt 1.92
N (0.3947, 0.5016, 0.6247)  1 Pt 1.93
N (0.4984, 0.6053, 0.8753)  1 Pt 1.93
N (0.5016, 0.3947, 0.1247)  1 Pt 1.93
N (0.6053, 0.4984, 0.3753)  1 Pt 1.93
N (0.7599, 0.8155, 0.5988)  1 Pt 1.92
N (0.8155, 0.7599, 0.0988)  1 Pt 1.92
N (0.8151, 0.9149, 0.8677)  1 Pt 1.95
N (0.9149, 0.8151, 0.3677)  1 Pt 1.95

no.,size of the total moment (μB per atom),energy of formation (kJ/mol of formula units)
1,0.000,197
2,0.667,663
3,0.000,256
4,0.000,-1623
5,0.041,-480
6,0.000,-546